Computed, not measured: a relaxed Na2Mg2Zr2SiS5O24 crystal at the PBE level of DFT.

Lattice parameters (Å, degrees): 8.825 8.833 23.286 90.01 90.01 119.96
Space group P1 (No. 1)
Symmetry-distinct sites (fractional):
Na (0.000, 0.000, 0.000) x1
Na (0.002, 0.024, 0.498) x1
Na (0.352, 0.690, 0.319) x1
Na (0.357, 0.672, 0.839) x1
Na (0.673, 0.337, 0.163) x1
Na (0.683, 0.343, 0.664) x1
Mg (0.008, 0.007, 0.142) x1
Mg (0.008, 0.018, 0.642) x1
Mg (0.344, 0.678, 0.175) x1
Mg (0.353, 0.676, 0.977) x1
Mg (0.669, 0.328, 0.305) x1
Mg (0.672, 0.345, 0.812) x1
Zr (0.000, 0.011, 0.342) x1
Zr (0.331, 0.665, 0.681) x1
Zr (0.342, 0.671, 0.473) x1
Zr (0.679, 0.355, 0.013) x1
Zr (0.688, 0.333, 0.513) x1
Zr (0.999, 0.999, 0.850) x1
Si (0.047, 0.370, 0.577) x1
Si (0.658, 0.626, 0.907) x1
Si (0.674, 0.049, 0.405) x1
S (0.003, 0.717, 0.741) x1
S (0.010, 0.307, 0.240) x1
S (0.059, 0.681, 0.077) x1
S (0.301, 0.008, 0.241) x1
S (0.304, 0.294, 0.742) x1
S (0.334, 0.382, 0.078) x1
S (0.336, 0.965, 0.578) x1
S (0.388, 0.048, 0.909) x1
S (0.389, 0.340, 0.408) x1
S (0.634, 0.963, 0.078) x1
S (0.638, 0.678, 0.578) x1
S (0.712, 0.710, 0.241) x1
S (0.719, 0.015, 0.742) x1
S (0.963, 0.631, 0.407) x1
S (0.968, 0.348, 0.909) x1
O (0.027, 0.182, 0.581) x1
O (0.029, 0.824, 0.794) x1
O (0.030, 0.832, 0.083) x1
O (0.032, 0.219, 0.294) x1
O (0.136, 0.653, 0.129) x1
O (0.139, 0.503, 0.917) x1
O (0.140, 0.650, 0.415) x1
O (0.145, 0.500, 0.633) x1
O (0.158, 0.698, 0.025) x1
O (0.166, 0.477, 0.521) x1
O (0.170, 0.707, 0.738) x1
O (0.171, 0.479, 0.236) x1
O (0.177, 0.975, 0.585) x1
O (0.181, 0.204, 0.084) x1
O (0.194, 0.986, 0.295) x1
O (0.196, 0.218, 0.794) x1
O (0.211, 0.027, 0.191) x1
O (0.211, 0.182, 0.403) x1
O (0.213, 0.040, 0.902) x1
O (0.217, 0.193, 0.691) x1
O (0.314, 0.462, 0.026) x1
O (0.318, 0.850, 0.237) x1
O (0.320, 0.862, 0.525) x1
O (0.325, 0.476, 0.737) x1
O (0.357, 0.872, 0.917) x1
O (0.363, 0.495, 0.415) x1
O (0.366, 0.489, 0.129) x1
O (0.371, 0.886, 0.629) x1
O (0.468, 0.321, 0.462) x1
O (0.469, 0.158, 0.961) x1
O (0.474, 0.168, 0.247) x1
O (0.479, 0.314, 0.747) x1
O (0.492, 0.126, 0.857) x1
O (0.492, 0.144, 0.572) x1
O (0.494, 0.369, 0.357) x1
O (0.496, 0.360, 0.071) x1
O (0.498, 0.659, 0.916) x1
O (0.506, 0.853, 0.417) x1
O (0.527, 0.656, 0.629) x1
O (0.528, 0.886, 0.129) x1
O (0.539, 0.696, 0.237) x1
O (0.542, 0.853, 0.737) x1
O (0.553, 0.861, 0.026) x1
O (0.555, 0.704, 0.525) x1
O (0.643, 0.514, 0.571) x1
O (0.646, 0.139, 0.352) x1
O (0.647, 0.519, 0.850) x1
O (0.654, 0.144, 0.071) x1
O (0.698, 0.168, 0.750) x1
O (0.698, 0.538, 0.250) x1
O (0.700, 0.541, 0.965) x1
O (0.705, 0.163, 0.466) x1
O (0.799, 0.822, 0.295) x1
O (0.801, 0.987, 0.795) x1
O (0.811, 0.829, 0.585) x1
O (0.812, 0.986, 0.084) x1
O (0.823, 0.033, 0.691) x1
O (0.823, 0.797, 0.191) x1
O (0.845, 0.824, 0.904) x1
O (0.850, 0.027, 0.403) x1
O (0.854, 0.325, 0.248) x1
O (0.854, 0.539, 0.747) x1
O (0.856, 0.311, 0.961) x1
O (0.859, 0.368, 0.574) x1
O (0.859, 0.555, 0.461) x1
O (0.877, 0.516, 0.072) x1
O (0.881, 0.528, 0.357) x1
O (0.884, 0.363, 0.857) x1
O (0.986, 0.194, 0.191) x1
O (0.986, 0.803, 0.690) x1
O (0.990, 0.189, 0.903) x1
O (0.990, 0.811, 0.403) x1

Calculated values
The calculation puts the formation energy at -2.536 eV/atom. As for the crystal system: triclinic. The size of the total moment is 0.00 μB per formula unit. As for the energy with MP2020 corrections: -7.20 eV per atom.